P) {
  "formula": "LiCuPO4",
  "functional": "PBE",
  "state": "relaxed",
  "spacegroup": "No. 33",
  "lattice": [[-9.918, -9.130, -12.840], [-1.173, -4.040, 3.779], [-6.951, 4.229, 2.362]],
  "species": ["Cu", "P", "O", "O", "O", "O", "O", "Li", "O", "O", "Li", "Li", "O", "P", "P", "O", "P", "Cu", "O", "O", "O", "P", "O", "O", "Cu", "O", "O", "Li", "P", "Li", "O", "O", "Li", "P", "O", "P", "O", "O", "O", "Cu", "O", "Cu", "Cu", "O", "Cu", "O", "O", "Li", "Li", "O", "Cu", "O", "O", "O", "P", "O", "Li", "O", "O", "O", "O", "O", "O", "Li", "O", "O", "P", "Cu", "O", "O", "O", "Cu", "O", "O", "O", "P", "P", "O", "Cu", "Li", "O", "O", "Li", "Cu"],
  "frac_coords": [[0.569, 0.325, 0.473], [0.592, 0.760, 0.602], [0.088, 0.950, 0.771], [0.206, 0.662, 0.470], [0.032, 0.788, 0.026], [0.917, 0.008, 0.179], [0.438, 0.839, 0.756], [0.655, 0.214, 0.740], [0.500, 0.156, 0.001], [0.794, 0.162, 0.530], [0.679, 0.817, 0.272], [0.155, 0.214, 0.760], [0.669, 0.266, 0.499], [0.069, 0.174, 0.399], [0.569, 0.174, 0.101], [0.938, 0.839, 0.744], [0.760, 0.771, 0.907], [0.897, 0.160, 0.488], [0.373, 0.793, 0.012], [0.763, 0.524, 0.357], [0.706, 0.662, 0.030], [0.092, 0.760, 0.898], [0.737, 0.024, 0.857], [0.127, 0.293, 0.512], [0.069, 0.325, 0.027], [0.583, 0.508, 0.679], [0.627, 0.293, 0.988], [0.500, 0.673, 0.239], [0.240, 0.271, 0.093], [0.500, 0.173, 0.761], [0.596, 0.925, 0.150], [0.404, 0.425, 0.850], [0.000, 0.673, 0.261], [0.431, 0.674, 0.899], [0.873, 0.793, 0.488], [0.908, 0.260, 0.102], [0.831, 0.766, 0.999], [0.000, 0.156, 0.499], [0.337, 0.277, 0.495], [0.397, 0.160, 0.012], [0.500, 0.656, 0.999], [0.767, 0.759, 0.539], [0.103, 0.660, 0.512], [0.412, 0.450, 0.271], [0.431, 0.825, 0.527], [0.331, 0.766, 0.501], [0.837, 0.277, 0.005], [0.321, 0.317, 0.728], [0.179, 0.817, 0.228], [0.262, 0.611, 0.740], [0.267, 0.759, 0.961], [0.417, 0.008, 0.321], [0.237, 0.024, 0.643], [0.562, 0.339, 0.244], [0.740, 0.271, 0.407], [0.904, 0.425, 0.650], [0.000, 0.173, 0.739], [0.000, 0.656, 0.501], [0.532, 0.788, 0.474], [0.468, 0.288, 0.526], [0.062, 0.339, 0.256], [0.663, 0.777, 0.505], [0.238, 0.111, 0.240], [0.345, 0.714, 0.260], [0.083, 0.508, 0.821], [0.163, 0.777, 0.995], [0.931, 0.674, 0.601], [0.603, 0.660, 0.988], [0.762, 0.611, 0.760], [0.169, 0.266, 0.001], [0.096, 0.925, 0.350], [0.931, 0.825, 0.973], [0.912, 0.450, 0.229], [0.968, 0.288, 0.974], [0.738, 0.111, 0.260], [0.260, 0.771, 0.593], [0.408, 0.260, 0.398], [0.263, 0.524, 0.143], [0.233, 0.259, 0.461], [0.821, 0.317, 0.772], [0.294, 0.162, 0.970], [0.588, 0.950, 0.729], [0.845, 0.714, 0.240], [0.733, 0.259, 0.039]]
}

***

Q) {
  "formula": "LiCuPO4",
  "functional": "PBE",
  "state": "relaxed",
  "spacegroup": "No. 33",
  "lattice": [[5.197, 0.000, 0.000], [0.000, 6.230, 0.000], [0.000, 0.000, 10.833]],
  "species": ["Cu", "O", "Cu", "O", "Li", "O", "Li", "Li", "P", "O", "P", "O", "Cu", "O", "O", "O", "O", "O", "O", "O", "O", "O", "O", "Cu", "Li", "O", "P", "P"],
  "frac_coords": [[0.244, 0.271, 0.413], [0.690, 0.705, 0.412], [0.244, 0.229, 0.913], [0.545, 0.982, 0.181], [0.751, 0.490, 0.833], [0.045, 0.482, 0.319], [0.751, 0.010, 0.333], [0.251, 0.510, 0.167], [0.250, 0.006, 0.170], [0.045, 0.018, 0.819], [0.250, 0.494, 0.670], [0.636, 0.954, 0.699], [0.744, 0.729, 0.587], [0.136, 0.046, 0.301], [0.636, 0.546, 0.199], [0.190, 0.295, 0.588], [0.131, 0.702, 0.616], [0.190, 0.205, 0.088], [0.631, 0.298, 0.384], [0.690, 0.795, 0.912], [0.136, 0.454, 0.801], [0.545, 0.518, 0.681], [0.131, 0.798, 0.116], [0.744, 0.771, 0.087], [0.251, 0.990, 0.667], [0.631, 0.202, 0.884], [0.750, 0.506, 0.330], [0.750, 0.994, 0.830]]
}

***

The data favor Q); the next most stable structure lies 10 meV per atom above it.

***

P) {
  "formula": "LiCuPO4",
  "functional": "PBE",
  "state": "relaxed",
  "spacegroup": "No. 14",
  "lattice": [[9.714, 0.000, 0.000], [0.000, 5.018, 0.000], [0.000, 5.022, 6.906]],
  "species": ["Li", "Cu", "O", "P", "O", "O", "O", "Cu", "O", "O", "O", "O", "O", "O", "O", "O", "Li", "P", "P", "Li", "Li", "P", "Cu", "O", "Cu", "O", "O", "O"],
  "frac_coords": [[0.830, 0.782, 0.016], [0.870, 0.257, 0.511], [0.438, 0.020, 0.721], [0.405, 0.945, 0.253], [0.863, 0.736, 0.447], [0.326, 0.896, 0.426], [0.174, 0.896, 0.926], [0.630, 0.257, 0.011], [0.562, 0.980, 0.279], [0.062, 0.020, 0.221], [0.826, 0.104, 0.074], [0.637, 0.736, 0.947], [0.622, 0.356, 0.752], [0.378, 0.644, 0.248], [0.938, 0.980, 0.779], [0.878, 0.356, 0.252], [0.170, 0.218, 0.984], [0.905, 0.055, 0.247], [0.095, 0.945, 0.753], [0.330, 0.218, 0.484], [0.670, 0.782, 0.516], [0.595, 0.055, 0.747], [0.130, 0.743, 0.489], [0.137, 0.264, 0.553], [0.370, 0.743, 0.989], [0.122, 0.644, 0.748], [0.363, 0.264, 0.053], [0.674, 0.104, 0.574]]
}

***

Q) {
  "formula": "LiCuPO4",
  "functional": "PBE",
  "state": "relaxed",
  "spacegroup": "No. 61",
  "lattice": [[-0.155, -3.313, 4.351], [-0.228, -6.032, -4.601], [15.405, -0.634, 0.067]],
  "species": ["O", "P", "O", "O", "Cu", "O", "P", "O", "P", "O", "O", "O", "O", "Cu", "O", "O", "O", "O", "Cu", "Cu", "Cu", "P", "Li", "O", "O", "P", "O", "O", "P", "Cu", "Li", "O", "P", "O", "Cu", "O", "Li", "O", "O", "O", "O", "O", "O", "O", "Li", "P", "Li", "O", "O", "Li", "O", "Cu", "Li", "Li", "O", "O"],
  "frac_coords": [[0.721, 0.039, 0.457], [0.389, 0.009, 0.121], [0.779, 0.539, 0.457], [0.736, 0.028, 0.291], [0.601, 0.629, 0.190], [0.764, 0.528, 0.291], [0.611, 0.991, 0.879], [0.721, 0.461, 0.957], [0.111, 0.509, 0.121], [0.904, 0.851, 0.621], [0.764, 0.972, 0.791], [0.508, 0.320, 0.384], [0.008, 0.180, 0.616], [0.899, 0.129, 0.190], [0.596, 0.149, 0.121], [0.596, 0.351, 0.621], [0.264, 0.528, 0.209], [0.992, 0.820, 0.384], [0.101, 0.871, 0.810], [0.399, 0.371, 0.810], [0.101, 0.629, 0.310], [0.611, 0.509, 0.379], [0.137, 0.694, 0.487], [0.992, 0.680, 0.884], [0.492, 0.680, 0.616], [0.389, 0.491, 0.621], [0.779, 0.961, 0.957], [0.008, 0.320, 0.116], [0.111, 0.991, 0.621], [0.399, 0.129, 0.310], [0.137, 0.806, 0.987], [0.096, 0.351, 0.879], [0.889, 0.491, 0.879], [0.492, 0.820, 0.116], [0.601, 0.871, 0.690], [0.904, 0.649, 0.121], [0.363, 0.194, 0.487], [0.736, 0.472, 0.791], [0.508, 0.180, 0.884], [0.236, 0.028, 0.209], [0.264, 0.972, 0.709], [0.096, 0.149, 0.379], [0.404, 0.851, 0.879], [0.279, 0.539, 0.043], [0.863, 0.306, 0.513], [0.889, 0.009, 0.379], [0.637, 0.806, 0.513], [0.221, 0.039, 0.043], [0.236, 0.472, 0.709], [0.637, 0.694, 0.013], [0.221, 0.461, 0.543], [0.899, 0.371, 0.690], [0.863, 0.194, 0.013], [0.363, 0.306, 0.987], [0.404, 0.649, 0.379], [0.279, 0.961, 0.543]]
}

***

The data favor P); the next most stable structure lies 30 meV per atom above it.